Li10MnSi2O10 PBE with a Hubbard U relaxed; E_form = -2484 meV per atom
1.0
15.0674 -3.0595 0.0000
15.0674 3.0595 0.0000
-0.8831 0.0000 5.0991
Li Mn Si O
20 2 4 20
Direct
0.0088 0.0088 0.2562
0.0623 0.5471 0.4004
0.1437 0.7246 0.0996
0.1522 0.5840 0.7656
0.1755 0.1755 0.9285
0.2309 0.2309 0.3234
0.2754 0.8563 0.9004
0.3675 0.3675 0.2181
0.4160 0.8478 0.2344
0.4529 0.9377 0.5996
0.5471 0.0623 0.4004
0.5840 0.1522 0.7656
0.6325 0.6325 0.7819
0.7246 0.1437 0.0996
0.7691 0.7691 0.6766
0.8245 0.8245 0.0715
0.8478 0.4160 0.2344
0.8563 0.2754 0.9004
0.9377 0.4529 0.5996
0.9912 0.9912 0.7438
0.4622 0.4622 0.7962
0.5377 0.5377 0.2038
0.1004 0.1004 0.5059
0.2804 0.2804 0.8717
0.7196 0.7196 0.1283
0.8996 0.8996 0.4941
0.0505 0.0505 0.5986
0.0806 0.5310 0.7846
0.0880 0.6530 0.3799
0.0956 0.0956 0.1813
0.2284 0.2284 0.7191
0.2536 0.7464 0.0000
0.2858 0.2858 0.1929
0.3470 0.9120 0.6201
0.4072 0.4072 0.9535
0.4690 0.9194 0.2154
0.5310 0.0806 0.7846
0.5928 0.5928 0.0465
0.6530 0.0880 0.3799
0.7142 0.7142 0.8071
0.7464 0.2536 0.0000
0.7716 0.7716 0.2809
0.9044 0.9044 0.8187
0.9120 0.3470 0.6201
0.9194 0.4690 0.2154
0.9495 0.9495 0.4014

Na8MgCo2O8 PBE with a Hubbard U relaxed; energy relative to the lowest polymorph listed for this composition = 4 meV/atom; E_form = -1639 meV per atom
1.0
5.7712 0.0000 0.0000
1.8880 5.4583 0.0000
0.2279 2.7340 8.5038
Na Mg Co O
8 1 2 8
Direct
0.0000 0.0000 0.0000
0.0026 0.4711 0.1292
0.0175 0.6212 0.7844
0.4488 0.7777 0.5827
0.5003 0.5163 0.9662
0.5085 0.9253 0.1611
0.5125 0.2857 0.3600
0.8521 0.1086 0.6421
0.1275 0.4858 0.4789
0.4105 0.0889 0.8238
0.9913 0.9916 0.3343
0.1237 0.1874 0.4107
0.2177 0.7022 0.2769
0.2270 0.8958 0.7894
0.2526 0.2651 0.9647
0.4300 0.3436 0.6280
0.7088 0.8277 0.9295
0.7560 0.1844 0.1756
0.8589 0.7796 0.5124